Entry 1:
# BePd

A relaxed structure of BePd (PBE, Materials Project).

a b c (Å): 2.832 2.832 2.832
angles (deg): 90.00 90.00 90.00
Sites, in units of the cell vectors:
1 Be 0.000 0.000 0.000
2 Pd 0.500 0.500 0.500

Computed properties:
As for the space-group type: Pm-3m, No. 221. The formation energy comes out at -0.593 eV/atom. As for the total DFT energy (no corrections): -10.10 eV/cell.


Entry 2:
# Cr2Te3

A relaxed structure of Cr2Te3 (PBE, Materials Project).

a b c (Å): 6.897 6.897 12.300
angles (deg): 90.00 90.00 120.00
Sites, in units of the cell vectors:
1 Cr 0.333 0.667 0.250
2 Cr 0.667 0.333 0.750
3 Cr 0.000 0.000 0.000
4 Cr 0.000 0.000 0.500
5 Cr 0.333 0.667 0.993
6 Cr 0.333 0.667 0.507
7 Cr 0.667 0.333 0.007
8 Cr 0.667 0.333 0.493
9 Te 0.329 0.995 0.378
10 Te 0.005 0.334 0.378
11 Te 0.666 0.671 0.378
12 Te 0.005 0.671 0.122
13 Te 0.666 0.995 0.122
14 Te 0.329 0.334 0.122
15 Te 0.671 0.005 0.622
16 Te 0.995 0.666 0.622
17 Te 0.334 0.329 0.622
18 Te 0.995 0.329 0.878
19 Te 0.334 0.005 0.878
20 Te 0.671 0.666 0.878

Computed properties:
As for the space-group type: P-31c, No. 163. The formation energy comes out at -0.466 eV/atom. As for the total DFT energy (no corrections): -119.19 eV/cell.


Entry 3:
# Li4Si4Bi2O13

A relaxed structure of Li4Si4Bi2O13 (PBE, Materials Project).

a b c (Å): 5.245 14.660 15.137
angles (deg): 90.00 90.00 90.00
Sites, in units of the cell vectors:
1 Li 0.149 0.025 0.221
2 Li 0.656 0.097 0.905
3 Li 0.649 0.144 0.116
4 Li 0.199 0.225 0.839
5 Li 0.699 0.275 0.339
6 Li 0.149 0.356 0.616
7 Li 0.156 0.403 0.405
8 Li 0.649 0.475 0.721
9 Li 0.351 0.525 0.221
10 Li 0.844 0.597 0.905
11 Li 0.851 0.644 0.116
12 Li 0.301 0.725 0.839
13 Li 0.801 0.775 0.339
14 Li 0.351 0.856 0.616
15 Li 0.344 0.903 0.405
16 Li 0.851 0.975 0.721
17 Si 0.168 0.031 0.998
18 Si 0.659 0.054 0.323
19 Si 0.854 0.196 0.723
20 Si 0.179 0.223 0.050
21 Si 0.679 0.277 0.550
22 Si 0.354 0.304 0.223
23 Si 0.159 0.446 0.823
24 Si 0.668 0.469 0.498
25 Si 0.332 0.531 0.998
26 Si 0.841 0.554 0.323
27 Si 0.646 0.696 0.723
28 Si 0.321 0.723 0.050
29 Si 0.821 0.777 0.550
30 Si 0.146 0.804 0.223
31 Si 0.341 0.946 0.823
32 Si 0.832 0.969 0.498
33 Bi 0.356 0.083 0.632
34 Bi 0.165 0.167 0.417
35 Bi 0.665 0.333 0.917
36 Bi 0.856 0.417 0.132
37 Bi 0.144 0.583 0.632
38 Bi 0.335 0.667 0.417
39 Bi 0.835 0.833 0.917
40 Bi 0.644 0.917 0.132
41 O 0.425 0.033 0.059
42 O 0.777 0.042 0.223
43 O 0.250 0.034 0.890
44 O 0.045 0.048 0.512
45 O 0.348 0.048 0.325
46 O 0.752 0.098 0.688
47 O 0.012 0.129 0.022
48 O 0.764 0.150 0.363
49 O 0.164 0.206 0.715
50 O 0.489 0.192 0.530
51 O 0.237 0.219 0.159
52 O 0.776 0.205 0.829
53 O 0.448 0.219 0.996
54 O 0.948 0.281 0.496
55 O 0.276 0.295 0.329
56 O 0.737 0.281 0.659
57 O 0.989 0.308 0.030
58 O 0.664 0.294 0.215
59 O 0.264 0.350 0.863
60 O 0.512 0.371 0.522
61 O 0.252 0.402 0.188
62 O 0.848 0.452 0.825
63 O 0.545 0.452 0.012
64 O 0.750 0.466 0.390
65 O 0.277 0.458 0.723
66 O 0.925 0.467 0.559
67 O 0.075 0.533 0.059
68 O 0.723 0.542 0.223
69 O 0.250 0.534 0.890
70 O 0.455 0.548 0.512
71 O 0.152 0.548 0.325
72 O 0.748 0.598 0.688
73 O 0.488 0.629 0.022
74 O 0.736 0.650 0.363
75 O 0.336 0.706 0.715
76 O 0.011 0.692 0.530
77 O 0.263 0.719 0.159
78 O 0.724 0.705 0.829
79 O 0.052 0.719 0.996
80 O 0.552 0.781 0.496
81 O 0.224 0.795 0.329
82 O 0.763 0.781 0.659
83 O 0.511 0.808 0.030
84 O 0.836 0.794 0.215
85 O 0.236 0.850 0.863
86 O 0.988 0.871 0.522
87 O 0.248 0.902 0.188
88 O 0.652 0.952 0.825
89 O 0.955 0.952 0.012
90 O 0.750 0.966 0.390
91 O 0.223 0.958 0.723
92 O 0.575 0.967 0.559

Computed properties:
The value obtained for the excess energy over the best structure of this formula in the dataset is 0 meV per atom. As for the space-group type: Pna2_1, No. 33. The value obtained for the magnetization is 0.000 μB/atom. The formation energy comes out at -2.653 eV/atom. As for the total DFT energy (no corrections): -614.14 eV/cell.


Entry 4:
# K3NpO8

A relaxed structure of K3NpO8 (PBE, Materials Project).

a b c (Å): 6.833 8.822 8.232
angles (deg): 90.00 117.11 90.00
Sites, in units of the cell vectors:
1 K 0.000 0.000 0.500
2 K 0.000 0.500 0.000
3 K 0.432 0.724 0.439
4 K 0.568 0.224 0.061
5 K 0.568 0.276 0.561
6 K 0.432 0.776 0.939
7 Np 0.000 0.500 0.500
8 Np 0.000 0.000 0.000
9 O 0.271 0.434 0.811
10 O 0.729 0.934 0.689
11 O 0.729 0.566 0.189
12 O 0.271 0.066 0.311
13 O 0.111 0.701 0.558
14 O 0.889 0.201 0.942
15 O 0.889 0.299 0.442
16 O 0.111 0.799 0.058
17 O 0.176 0.467 0.377
18 O 0.824 0.967 0.123
19 O 0.824 0.533 0.623
20 O 0.176 0.033 0.877
21 O 0.456 0.452 0.792
22 O 0.544 0.952 0.708
23 O 0.544 0.548 0.208
24 O 0.456 0.048 0.292

Computed properties:
As for the space-group type: P2_1/c, No. 14. The value obtained for the magnetization is 0.164 μB/atom. The formation energy comes out at -1.777 eV/atom. As for the total DFT energy (no corrections): -151.81 eV/cell.


Entry 5:
# K2UBr4O4

A relaxed structure of K2UBr4O4 (PBE, Materials Project).

a b c (Å): 6.994 7.349 8.222
angles (deg): 85.76 103.16 120.20
Sites, in units of the cell vectors:
1 K 0.603 0.287 0.834
2 K 0.397 0.713 0.166
3 U 0.000 0.000 0.000
4 Br 0.852 0.614 0.163
5 Br 0.148 0.386 0.837
6 Br 0.822 0.776 0.688
7 Br 0.178 0.224 0.312
8 O 0.731 0.990 0.993
9 O 0.269 0.010 0.007
10 O 0.436 0.924 0.536
11 O 0.564 0.076 0.464

Computed properties:
As for the space-group type: P-1, No. 2. The value obtained for the magnetization is 0.182 μB/atom. The formation energy comes out at -1.719 eV/atom. As for the total DFT energy (no corrections): -58.12 eV/cell.


Entry 6:
# Gd2AgAu

A relaxed structure of Gd2AgAu (PBE, Materials Project).

a b c (Å): 5.169 5.169 5.169
angles (deg): 60.00 60.00 60.00
Sites, in units of the cell vectors:
1 Gd 0.250 0.250 0.250
2 Gd 0.750 0.750 0.750
3 Ag 0.500 0.500 0.500
4 Au 0.000 0.000 0.000

Computed properties:
As for the space-group type: Fm-3m, No. 225. The formation energy comes out at -0.571 eV/atom. As for the total DFT energy (no corrections): -36.54 eV/cell.


Entry 7:
# BOsO3

A relaxed structure of BOsO3 (PBE, Materials Project).

a b c (Å): 3.407 3.407 3.407
angles (deg): 90.00 90.00 90.00
Sites, in units of the cell vectors:
1 B 0.000 0.000 0.000
2 Os 0.500 0.500 0.500
3 O 0.000 0.000 0.500
4 O 0.000 0.500 0.000
5 O 0.500 0.000 0.000

Computed properties:
As for the space-group type: Pm-3m, No. 221. The value obtained for the magnetization is 0.002 μB/atom. The formation energy comes out at -0.224 eV/atom. As for the total DFT energy (no corrections): -31.81 eV/cell.


Entry 8:
# LiAu4Se4Cl4O12

A relaxed structure of LiAu4Se4Cl4O12 (PBE, Materials Project).

a b c (Å): 4.460 10.165 11.096
angles (deg): 83.00 89.99 89.85
Sites, in units of the cell vectors:
1 Li 0.139 0.419 0.471
2 Au 0.994 0.582 0.187
3 Au 0.998 0.000 0.000
4 Au 0.999 0.420 0.811
5 Au 0.003 0.006 0.497
6 Se 0.722 0.872 0.265
7 Se 0.198 0.713 0.907
8 Se 0.795 0.287 0.089
9 Se 0.283 0.131 0.736
10 Cl 0.320 0.498 0.651
11 Cl 0.702 0.499 0.362
12 Cl 0.298 0.196 0.446
13 Cl 0.726 0.815 0.545
14 O 0.655 0.952 0.120
15 O 0.690 0.355 0.943
16 O 0.028 0.769 0.245
17 O 0.083 0.176 0.064
18 O 0.061 0.395 0.136
19 O 0.912 0.824 0.933
20 O 0.304 0.646 0.052
21 O 0.975 0.235 0.752
22 O 0.931 0.002 0.317
23 O 0.928 0.604 0.863
24 O 0.342 0.048 0.880
25 O 0.069 0.006 0.679

Computed properties:
The value obtained for the excess energy over the best structure of this formula in the dataset is 6 meV per atom. As for the space-group type: P1, No. 1. The value obtained for the magnetization is 0.000 μB/atom. The formation energy comes out at -0.881 eV/atom. As for the total DFT energy (no corrections): -109.54 eV/cell.


Entry 9:
# Pr2S3

A relaxed structure of Pr2S3 (PBE, Materials Project).

a b c (Å): 14.325 14.325 14.325
angles (deg): 144.80 144.80 50.63
Sites, in units of the cell vectors:
1 Pr 0.495 0.625 0.370
2 Pr 0.219 0.823 0.120
3 Pr 0.916 0.416 0.500
4 Pr 0.255 0.125 0.630
5 Pr 0.834 0.834 0.000
6 Pr 0.047 0.427 0.896
7 Pr 0.849 0.953 0.380
8 Pr 0.531 0.151 0.104
9 Pr 0.573 0.469 0.620
10 Pr 0.166 0.166 0.000
11 Pr 0.177 0.297 0.396
12 Pr 0.375 0.745 0.870
13 Pr 0.875 0.505 0.130
14 Pr 0.584 0.084 0.500
15 Pr 0.901 0.781 0.604
16 Pr 0.703 0.099 0.880
17 S 0.576 0.322 0.107
18 S 0.861 0.758 0.753
19 S 0.214 0.469 0.893
20 S 0.536 0.928 0.755
21 S 0.174 0.781 0.245
22 S 0.005 0.108 0.247
23 S 0.745 0.492 0.603
24 S 0.902 0.653 0.087
25 S 0.185 0.098 0.751
26 S 0.889 0.142 0.397
27 S 0.566 0.815 0.913
28 S 0.858 0.255 0.747
29 S 0.508 0.111 0.253
30 S 0.347 0.434 0.249
31 S 0.072 0.826 0.607
32 S 0.242 0.995 0.103
33 S 0.531 0.424 0.745
34 S 0.219 0.464 0.393
35 S 0.892 0.139 0.897
36 S 0.184 0.597 0.749
37 S 0.848 0.435 0.251
38 S 0.678 0.786 0.255
39 S 0.403 0.152 0.587
40 S 0.565 0.816 0.413

Computed properties:
As for the space-group type: I-42d, No. 122. The formation energy comes out at -2.340 eV/atom. As for the total DFT energy (no corrections): -257.30 eV/cell.


Entry 10:
# Rb3Pd

A relaxed structure of Rb3Pd (PBE, Materials Project).

a b c (Å): 10.376 10.376 10.376
angles (deg): 109.47 109.47 109.47
Sites, in units of the cell vectors:
1 Rb 0.301 0.116 0.815
2 Rb 0.699 0.884 0.185
3 Rb 0.301 0.486 0.185
4 Rb 0.699 0.514 0.815
5 Rb 0.815 0.301 0.116
6 Rb 0.185 0.699 0.884
7 Rb 0.185 0.301 0.486
8 Rb 0.815 0.699 0.514
9 Rb 0.116 0.815 0.301
10 Rb 0.884 0.185 0.699
11 Rb 0.486 0.185 0.301
12 Rb 0.514 0.815 0.699
13 Pd 0.000 0.000 0.000
14 Pd 0.500 0.000 0.500
15 Pd 0.500 0.500 0.000
16 Pd 0.000 0.500 0.500

Computed properties:
The value obtained for the excess energy over the best structure of this formula in the dataset is 0 meV per atom. As for the space-group type: Im-3, No. 204. The value obtained for the magnetization is 0.122 μB/atom. The formation energy comes out at 0.193 eV/atom. As for the total DFT energy (no corrections): -29.40 eV/cell.


Entry 11:
# NpTe

A relaxed structure of NpTe (PBE, Materials Project).

a b c (Å): 3.779 3.779 3.779
angles (deg): 90.00 90.00 90.00
Sites, in units of the cell vectors:
1 Np 0.000 0.000 0.000
2 Te 0.500 0.500 0.500

Computed properties:
As for the space-group type: Pm-3m, No. 221. The value obtained for the magnetization is 2.487 μB/atom. The formation energy comes out at -0.761 eV/atom. As for the total DFT energy (no corrections): -17.19 eV/cell.


Entry 12:
# AcSnAu2

A relaxed structure of AcSnAu2 (PBE, Materials Project).

a b c (Å): 5.262 5.262 5.262
angles (deg): 60.00 60.00 60.00
Sites, in units of the cell vectors:
1 Ac 0.500 0.500 0.500
2 Sn 0.000 0.000 0.000
3 Au 0.750 0.750 0.750
4 Au 0.250 0.250 0.250

Computed properties:
As for the space-group type: Fm-3m, No. 225. The formation energy comes out at -0.685 eV/atom. As for the total DFT energy (no corrections): -17.42 eV/cell.